Entry 1:
VASP calculation (r2SCAN) on an optimized crystal structure of Pm2Se3.

a b c (Å): 8.8770 8.8770 26.5979
angles (deg): 90.00 90.00 90.00
Space group I-42d (No. 122)
Inequivalent atoms, fractional coordinates:
1 Pm 0.0000 0.0000 0.1662
2 Pm 0.1188 0.7500 0.6250
3 Pm 0.1354 0.7413 0.9606
4 Se 0.0694 0.6772 0.1837
5 Se 0.0717 0.6817 0.8547
6 Se 0.0793 0.6743 0.5167

Output
Calculated total energy   -1807.53 eV for the cell shown
ΔE_f   -2.19 eV per atom



Entry 2:
VASP calculation (r2SCAN) on an optimized crystal structure of PmSi3.

a b c (Å): 6.1291 6.1291 4.6538
angles (deg): 90.00 90.00 120.00
Space group P6_3/mmc (No. 194)
Inequivalent atoms, fractional coordinates:
1 Pm 0.3333 0.6667 0.2500
2 Si 0.1345 0.2689 0.7500

Output
Calculated total energy   -113.84 eV for the cell shown
ΔE_f   -0.26 eV per atom



Entry 3:
VASP calculation (r2SCAN) on an optimized crystal structure of Pm3Si.

a b c (Å): 4.7393 4.7393 4.7393
angles (deg): 90.00 90.00 90.00
Space group Pm-3m (No. 221)
Inequivalent atoms, fractional coordinates:
1 Pm 0.0000 0.0000 0.5000
2 Si 0.5000 0.5000 0.5000

Output
Calculated total energy   -98.60 eV for the cell shown
ΔE_f   -0.30 eV per atom



Entry 4:
VASP calculation (r2SCAN) on an optimized crystal structure of Pm2ZnSi.

a b c (Å): 7.2225 7.2225 7.2225
angles (deg): 90.00 90.00 90.00
Space group Fm-3m (No. 225)
Inequivalent atoms, fractional coordinates:
1 Pm 0.2500 0.2500 0.2500
2 Zn 0.0000 0.0000 0.0000
3 Si 0.0000 0.0000 0.5000

Output
Calculated total energy   -314.81 eV for the cell shown
ΔE_f   -0.48 eV per atom



Entry 5:
VASP calculation (r2SCAN) on an optimized crystal structure of Pm3Sm.

a b c (Å): 5.1577 5.1577 5.1577
angles (deg): 90.00 90.00 90.00
Space group Pm-3m (No. 221)
Inequivalent atoms, fractional coordinates:
1 Pm 0.0000 0.0000 0.5000
2 Sm 0.5000 0.5000 0.5000

Output
Energy above the most stable polymorph in this dataset   0.03 eV/f.u.
Calculated total energy   -118.25 eV for the cell shown
ΔE_f   0.03 eV per atom



Entry 6:
VASP calculation (r2SCAN) on an optimized crystal structure of PmSm.

a b c (Å): 3.7173 3.7173 5.8185
angles (deg): 90.00 90.00 120.00
Space group P-6m2 (No. 187)
Inequivalent atoms, fractional coordinates:
1 Pm 0.0000 0.0000 0.0000
2 Sm 0.6667 0.3333 0.5000

Output
Calculated total energy   -59.23 eV for the cell shown
ΔE_f   0.02 eV per atom



Entry 7:
VASP calculation (r2SCAN) on an optimized crystal structure of Pm3Sm.

a b c (Å): 7.4388 7.4388 5.8251
angles (deg): 90.00 90.00 120.00
Space group P6_3/mmc (No. 194)
Inequivalent atoms, fractional coordinates:
1 Pm 0.1667 0.3334 0.2500
2 Sm 0.3333 0.6667 0.7500

Output
Energy above the most stable polymorph in this dataset   0.01 eV/f.u.
Calculated total energy   -236.52 eV for the cell shown
ΔE_f   0.02 eV per atom



Entry 8:
VASP calculation (r2SCAN) on an optimized crystal structure of Pm3Sm.

a b c (Å): 5.1586 5.1586 10.3382
angles (deg): 90.00 90.00 90.00
Space group I4/mmm (No. 139)
Inequivalent atoms, fractional coordinates:
1 Pm 0.0000 0.0000 0.0000
2 Pm 0.0000 0.5000 0.2500
3 Sm 0.0000 0.0000 0.5000

Output
Energy above the most stable polymorph in this dataset   0.00 eV/f.u.
Calculated total energy   -236.55 eV for the cell shown
ΔE_f   0.02 eV per atom



Entry 9:
VASP calculation (r2SCAN) on an optimized crystal structure of PmSmZn2.

a b c (Å): 7.2555 7.2555 7.2555
angles (deg): 90.00 90.00 90.00
Space group Fm-3m (No. 225)
Inequivalent atoms, fractional coordinates:
1 Pm 0.0000 0.0000 0.0000
2 Sm 0.0000 0.0000 0.5000
3 Zn 0.2500 0.2500 0.2500

Output
Calculated total energy   -313.98 eV for the cell shown
ΔE_f   -0.35 eV per atom



Entry 10:
VASP calculation (r2SCAN) on an optimized crystal structure of PmSn3.

a b c (Å): 4.7439 4.7439 4.7439
angles (deg): 90.00 90.00 90.00
Space group Pm-3m (No. 221)
Inequivalent atoms, fractional coordinates:
1 Pm 0.0000 0.0000 0.0000
2 Sn 0.0000 0.5000 0.5000

Output
Calculated total energy   -105.71 eV for the cell shown
ΔE_f   -0.48 eV per atom



Entry 11:
VASP calculation (r2SCAN) on an optimized crystal structure of Pm2TlSn.

a b c (Å): 7.7161 7.7161 7.7161
angles (deg): 90.00 90.00 90.00
Space group Fm-3m (No. 225)
Inequivalent atoms, fractional coordinates:
1 Pm 0.2500 0.2500 0.2500
2 Tl 0.0000 0.0000 0.0000
3 Sn 0.0000 0.0000 0.5000

Output
Calculated total energy   -557.55 eV for the cell shown
ΔE_f   -0.59 eV per atom



Entry 12:
VASP calculation (r2SCAN) on an optimized crystal structure of Pm2ZnSn.

a b c (Å): 7.4953 7.4953 7.4953
angles (deg): 90.00 90.00 90.00
Space group Fm-3m (No. 225)
Inequivalent atoms, fractional coordinates:
1 Pm 0.2500 0.2500 0.2500
2 Zn 0.0000 0.0000 0.0000
3 Sn 0.0000 0.0000 0.5000

Output
Calculated total energy   -380.20 eV for the cell shown
ΔE_f   -0.58 eV per atom



Entry 13:
VASP calculation (r2SCAN) on an optimized crystal structure of TbPm3.

a b c (Å): 7.4079 7.4079 5.7960
angles (deg): 90.00 90.00 120.00
Space group P6_3/mmc (No. 194)
Inequivalent atoms, fractional coordinates:
1 Tb 0.3333 0.6667 0.2500
2 Pm 0.1670 0.3340 0.7500

Output
Calculated total energy   -239.53 eV for the cell shown
ΔE_f   0.02 eV per atom



Entry 14:
VASP calculation (r2SCAN) on an optimized crystal structure of PmTmTl2.

a b c (Å): 7.5898 7.5898 7.5898
angles (deg): 90.00 90.00 90.00
Space group Fm-3m (No. 225)
Inequivalent atoms, fractional coordinates:
1 Pm 0.0000 0.0000 0.0000
2 Tm 0.0000 0.0000 0.5000
3 Tl 0.2500 0.2500 0.2500

Output
Calculated total energy   -691.16 eV for the cell shown
ΔE_f   -0.44 eV per atom



Entry 15:
VASP calculation (r2SCAN) on an optimized crystal structure of PmTm3.

a b c (Å): 5.0047 5.0047 9.9521
angles (deg): 90.00 90.00 90.00
Space group I4/mmm (No. 139)
Inequivalent atoms, fractional coordinates:
1 Pm 0.0000 0.0000 0.0000
2 Tm 0.0000 0.0000 0.5000
3 Tm 0.0000 0.5000 0.2500

Output
Energy above the most stable polymorph in this dataset   0.23 eV/f.u.
Calculated total energy   -269.40 eV for the cell shown
ΔE_f   0.05 eV per atom



Entry 16:
VASP calculation (r2SCAN) on an optimized crystal structure of Pm3Tm.

a b c (Å): 7.3670 7.3670 5.7641
angles (deg): 90.00 90.00 120.00
Space group P6_3/mmc (No. 194)
Inequivalent atoms, fractional coordinates:
1 Pm 0.1677 0.3355 0.2500
2 Tm 0.3333 0.6667 0.7500

Output
Energy above the most stable polymorph in this dataset   0.00 eV/f.u.
Calculated total energy   -247.32 eV for the cell shown
ΔE_f   0.02 eV per atom



Entry 17:
VASP calculation (r2SCAN) on an optimized crystal structure of Pm3Tm.

a b c (Å): 5.1217 5.1217 10.1636
angles (deg): 90.00 90.00 90.00
Space group I4/mmm (No. 139)
Inequivalent atoms, fractional coordinates:
1 Pm 0.0000 0.0000 0.0000
2 Pm 0.0000 0.5000 0.2500
3 Tm 0.0000 0.0000 0.5000

Output
Energy above the most stable polymorph in this dataset   0.04 eV/f.u.
Calculated total energy   -247.24 eV for the cell shown
ΔE_f   0.03 eV per atom



Entry 18:
VASP calculation (r2SCAN) on an optimized crystal structure of PmTm3.

a b c (Å): 4.9950 4.9950 4.9950
angles (deg): 90.00 90.00 90.00
Space group Pm-3m (No. 221)
Inequivalent atoms, fractional coordinates:
1 Pm 0.0000 0.0000 0.0000
2 Tm 0.0000 0.5000 0.5000

Output
Energy above the most stable polymorph in this dataset   0.22 eV/f.u.
Calculated total energy   -134.70 eV for the cell shown
ΔE_f   0.05 eV per atom



Entry 19:
VASP calculation (r2SCAN) on an optimized crystal structure of PmTm3.

a b c (Å): 7.1684 7.1684 5.7333
angles (deg): 90.00 90.00 120.00
Space group P6_3/mmc (No. 194)
Inequivalent atoms, fractional coordinates:
1 Pm 0.3333 0.6667 0.2500
2 Tm 0.1647 0.3294 0.7500

Output
Energy above the most stable polymorph in this dataset   0.00 eV/f.u.
Calculated total energy   -269.85 eV for the cell shown
ΔE_f   -0.01 eV per atom



Entry 20:
VASP calculation (r2SCAN) on an optimized crystal structure of PmTmZn2.

a b c (Å): 7.1440 7.1440 7.1440
angles (deg): 90.00 90.00 90.00
Space group Fm-3m (No. 225)
Inequivalent atoms, fractional coordinates:
1 Pm 0.0000 0.0000 0.0000
2 Tm 0.0000 0.0000 0.5000
3 Zn 0.2500 0.2500 0.2500

Output
Calculated total energy   -335.71 eV for the cell shown
ΔE_f   -0.36 eV per atom